Li3V3P8O29, optimized geometry, DFT GGA+U; relative energy among the computed polymorphs = 6.7 meV/atom; total magnetic moment = 0.00 Bohr magnetons per cell; calculated formation energy = -243.74 kJ/mol of atoms
1.0
0.1753 0.6435 -9.7216
6.5691 -5.0606 -5.1177
-8.9721 -10.7642 -0.8762
Li V P O
6 6 16 58
Direct
0.6694 0.2349 0.0582
0.2349 0.6694 0.5582
0.2358 0.0949 0.0589
0.0949 0.2358 0.5589
0.0151 0.9585 0.9996
0.9585 0.0151 0.4996
0.0016 0.5670 0.2462
0.9978 0.4376 0.7549
0.5670 0.0016 0.7462
0.4376 0.9978 0.2549
0.5650 0.4375 0.2529
0.4375 0.5650 0.7529
0.6889 0.2234 0.8421
0.6930 0.0850 0.3444
0.2234 0.6889 0.3421
0.3356 0.3305 0.1294
0.3305 0.3356 0.6294
0.0850 0.6930 0.8444
0.9160 0.7751 0.6581
0.2286 0.0860 0.8435
0.7751 0.9160 0.1581
0.0860 0.2286 0.3435
0.9146 0.3091 0.1591
0.6710 0.6652 0.3703
0.6652 0.6710 0.8703
0.7783 0.3084 0.6575
0.3091 0.9146 0.6591
0.3084 0.7783 0.1575
0.7918 0.2133 0.5724
0.6543 0.2599 0.3313
0.7826 0.0045 0.0735
0.6578 0.0835 0.8312
0.5281 0.3811 0.8252
0.4870 0.3293 0.1695
0.3811 0.5281 0.3252
0.2133 0.7918 0.0724
0.2599 0.6543 0.8313
0.4791 0.1872 0.6752
0.5338 0.0849 0.3296
0.3293 0.4870 0.6695
0.3342 0.3264 0.0236
0.3264 0.3342 0.5236
0.1872 0.4791 0.1752
0.3835 0.0888 0.8259
0.3317 0.1830 0.1730
0.0835 0.6578 0.3312
0.9974 0.7987 0.7519
0.0045 0.7826 0.5735
0.0080 0.7836 0.9314
0.0849 0.5338 0.8296
0.1830 0.3317 0.6730
0.9139 0.7422 0.1634
0.0888 0.3835 0.3259
0.2583 0.0861 0.3317
0.7987 0.9974 0.2519
0.7836 0.0080 0.4314
0.2102 0.0080 0.5764
0.7422 0.9139 0.6634
0.9162 0.6174 0.6727
0.0861 0.2583 0.8317
0.8164 0.6637 0.3231
0.9135 0.4677 0.1716
0.0080 0.2102 0.0764
0.0146 0.2205 0.4355
0.9897 0.2098 0.2566
0.9173 0.3447 0.6631
0.6637 0.8164 0.8231
0.6174 0.9162 0.1727
0.8140 0.5211 0.8243
0.6636 0.6669 0.9754
0.6669 0.6636 0.4754
0.6654 0.5191 0.3232
0.4677 0.9135 0.6716
0.5211 0.8140 0.3243
0.7414 0.3411 0.1598
0.8009 0.2072 0.7545
0.7642 0.2220 0.9345
0.6185 0.4658 0.6731
0.5191 0.6654 0.8232
0.4658 0.6185 0.1731
0.3447 0.9173 0.1631
0.2205 0.0146 0.9355
0.2098 0.9897 0.7566
0.3411 0.7414 0.6598
0.2220 0.7642 0.4345
0.2072 0.8009 0.2545